No. 1
The following is a PBE with a Hubbard U calculation of crystalline V3NiH48S4O40 at its relaxed geometry, from the Materials Project database.

a = 6.2940 Å, b = 6.2940 Å, c = 25.2775 Å
α = 80.94°, β = 80.94°, γ = 69.73°
With the nearest neighbours (Å) after each atom.
Fractional coordinates of all 96 atoms:
H  0.3590  0.9617  0.9225  1 O 0.99
H  0.2854  0.5829  0.2006  1 O 0.99
H  0.9304  0.3269  0.9101  1 O 0.99
H  0.2753  0.0539  0.8124  1 O 0.99
H  0.3071  0.7125  0.0687  1 O 0.99
H  0.7065  0.3631  0.4421  1 O 0.99
H  0.2211  0.3263  0.9978  1 O 0.98
H  0.6731  0.0696  0.5899  1 O 0.99
H  0.0713  0.6710  0.0904  1 O 0.99
H  0.0783  0.2365  0.1585  1 O 0.99
H  0.9146  0.7566  0.8446  1 O 0.99
H  0.9621  0.3595  0.4221  1 O 0.99
H  0.7796  0.6726  0.0026  1 O 0.98
H  0.9461  0.7247  0.6876  1 O 0.99
H  0.9430  0.6610  0.9469  1 O 0.98
H  0.4171  0.7146  0.2994  1 O 0.99
H  0.3290  0.9287  0.4096  1 O 0.99
H  0.9201  0.4879  0.7634  1 O 0.98
H  0.5704  0.2875  0.6992  1 O 0.99
H  0.4737  0.9232  0.2621  1 O 0.98
H  0.9844  0.6966  0.3422  1 O 0.98
H  0.3637  0.7057  0.9424  1 O 0.99
H  0.2943  0.6363  0.5576  1 O 0.99
H  0.7635  0.9217  0.3415  1 O 0.99
H  0.6369  0.2935  0.0579  1 O 0.99
H  0.6630  0.2019  0.2004  1 O 1.00
H  0.6630  0.9417  0.4464  1 O 0.98
H  0.3274  0.2204  0.4974  1 O 0.98
H  0.5121  0.0799  0.7366  1 O 0.98
H  0.2434  0.0854  0.6554  1 O 0.99
H  0.7981  0.3370  0.2996  1 O 1.00
H  0.3449  0.7988  0.8010  1 O 1.00
H  0.7142  0.3060  0.5685  1 O 0.99
H  0.0545  0.2601  0.3104  1 O 0.99
H  0.7125  0.4296  0.8008  1 O 0.99
H  0.2012  0.6551  0.6990  1 O 1.00
H  0.0768  0.5263  0.2379  1 O 0.98
H  0.0226  0.3109  0.6547  1 O 0.98
H  0.3034  0.0156  0.1578  1 O 0.98
H  0.6737  0.7789  0.5022  1 O 0.98
H  0.6405  0.0379  0.0779  1 O 0.99
H  0.0583  0.3370  0.0536  1 O 0.98
H  0.6940  0.2858  0.9315  1 O 0.99
H  0.7399  0.9455  0.1896  1 O 0.99
H  0.2875  0.6929  0.4313  1 O 0.99
H  0.0383  0.6410  0.5775  1 O 0.99
H  0.6891  0.9774  0.8453  1 O 0.98
H  0.3390  0.0570  0.5531  1 O 0.98
O  0.5937  0.5774  0.0714  1 S 1.50
O  0.7470  0.8776  0.4780  2 H 0.98
O  0.2522  0.1244  0.5219  2 H 0.98
O  0.3277  0.8582  0.9542  2 H 0.99
O  0.1418  0.6723  0.5458  2 H 0.99
O  0.6371  0.1317  0.7174  2 H 0.98-0.99
O  0.7864  0.1380  0.5703  2 H 0.99
O  0.6197  0.8296  0.1327  1 S 1.49
O  0.5319  0.4344  0.3307  1 S 1.49
O  0.8143  0.8834  0.8218  2 H 0.98-0.99
O  0.0406  0.7135  0.7163  2 H 0.99-1.00
O  0.7220  0.0422  0.2182  2 H 0.99-1.00
O  0.6719  0.1410  0.0461  2 H 0.99
O  0.4084  0.4215  0.9291  1 S 1.50
O  0.8897  0.8211  0.3187  2 H 0.98-0.99
O  0.4685  0.5687  0.6688  1 S 1.49
O  0.4739  0.9293  0.6165  1 S 1.50
O  0.2157  0.8611  0.4296  2 H 0.99
O  0.3814  0.1686  0.8680  1 S 1.50
O  0.8756  0.7478  0.9781  2 H 0.98
O  0.0707  0.5261  0.8835  1 S 1.50
O  0.1389  0.7843  0.0704  2 H 0.99
O  0.4313  0.5315  0.8312  1 S 1.49
O  0.1283  0.6506  0.2182  2 H 0.98-0.99
O  0.5656  0.4681  0.1693  1 S 1.49
O  0.8683  0.3629  0.7826  2 H 0.98-0.99
O  0.4226  0.4063  0.4286  1 S 1.50
O  0.8620  0.2136  0.9297  2 H 0.99
O  0.1224  0.2530  0.0220  2 H 0.98
O  0.9292  0.4697  0.1179  1 S 1.50
O  0.5785  0.5916  0.5709  1 S 1.50
O  0.1789  0.1103  0.1813  2 H 0.98-0.99
O  0.1166  0.1857  0.6782  2 H 0.98-0.99
O  0.8314  0.6186  0.6320  1 S 1.50
O  0.3494  0.8717  0.2818  2 H 0.98-0.99
O  0.8590  0.3281  0.4539  2 H 0.99
O  0.2865  0.9594  0.7837  2 H 0.99-1.00
O  0.1704  0.3803  0.3673  1 S 1.49
O  0.9578  0.2780  0.2818  2 H 0.99-1.00
O  0.5303  0.0708  0.3821  1 S 1.50
S  0.6754  0.5868  0.1234  4 O 1.49-1.50
S  0.4132  0.3246  0.3766  4 O 1.49-1.50
S  0.3247  0.4118  0.8774  4 O 1.49-1.50
S  0.5883  0.6753  0.6226  4 O 1.49-1.50
V  0.9585  0.0415  0.7500  6 O 2.16-2.22
V  0.0005  0.0001  0.4998  6 O 2.16-2.17
V  0.9999  0.9995  0.0002  6 O 2.16-2.17
Ni  0.0386  0.9614  0.2500  6 O 2.06-2.13

Results
As for the space-group type: C2 (5). For the corrected total energy (MP2020 scheme), the calculation gives -5.726 eV/atom.

No. 2
The following is a PBE with a Hubbard U calculation of crystalline YNiH3SO7 at its relaxed geometry, from the Materials Project database.

a = 6.9726 Å, b = 7.3685 Å, c = 10.3711 Å
α = 90.00°, β = 90.00°, γ = 90.00°
With the nearest neighbours (Å) after each atom.
Fractional coordinates of all 52 atoms:
H  0.2303  0.2500  0.0718  1 O 0.98
H  0.5287  0.4524  0.2606  1 O 0.98
H  0.7303  0.2500  0.4282  1 O 0.98
H  0.9713  0.5476  0.7606  1 O 0.98
H  0.2697  0.7500  0.5718  1 O 0.98
H  0.7697  0.7500  0.9282  1 O 0.98
H  0.4713  0.9524  0.7394  1 O 0.98
H  0.4713  0.5476  0.7394  1 O 0.98
H  0.0287  0.0476  0.2394  1 O 0.98
H  0.0287  0.4524  0.2394  1 O 0.98
H  0.9713  0.9524  0.7606  1 O 0.98
H  0.5287  0.0476  0.2606  1 O 0.98
O  0.1249  0.2500  0.0087  1 H 0.98
O  0.5405  0.7500  0.8552  1 S 1.48
O  0.4479  0.7500  0.0843  1 S 1.50
O  0.0494  0.5664  0.1924  1 H 0.98
O  0.7621  0.9159  0.5754  1 S 1.49
O  0.2379  0.4159  0.4246  1 S 1.49
O  0.3751  0.7500  0.5087  1 H 0.98
O  0.6249  0.2500  0.4913  1 H 0.98
O  0.9506  0.0664  0.8076  1 H 0.98
O  0.0521  0.2500  0.5843  1 S 1.50
O  0.0405  0.7500  0.6448  1 S 1.48
O  0.7621  0.5841  0.5754  1 S 1.49
O  0.4506  0.4336  0.6924  1 H 0.98
O  0.2379  0.0841  0.4246  1 S 1.49
O  0.2621  0.9159  0.9246  1 S 1.49
O  0.8751  0.7500  0.9913  1 H 0.98
O  0.7379  0.0841  0.0754  1 S 1.49
O  0.7379  0.4159  0.0754  1 S 1.49
O  0.0494  0.9336  0.1924  1 H 0.98
O  0.9506  0.4336  0.8076  1 H 0.98
O  0.2621  0.5841  0.9246  1 S 1.49
O  0.4595  0.2500  0.1448  1 S 1.48
O  0.5494  0.5664  0.3076  1 H 0.98
O  0.5521  0.2500  0.9157  1 S 1.50
O  0.4506  0.0664  0.6924  1 H 0.98
O  0.9479  0.7500  0.4157  1 S 1.50
O  0.5494  0.9336  0.3076  1 H 0.98
O  0.9595  0.2500  0.3552  1 S 1.48
Y  0.2653  0.7500  0.3009  6 O 2.29-2.51
Y  0.7347  0.2500  0.6991  6 O 2.29-2.51
Y  0.7653  0.7500  0.1991  6 O 2.29-2.51
Y  0.2347  0.2500  0.8009  6 O 2.29-2.51
S  0.8786  0.7500  0.5528  4 O 1.48-1.50
S  0.3786  0.7500  0.9472  4 O 1.48-1.50
S  0.1214  0.2500  0.4472  4 O 1.48-1.50
S  0.6214  0.2500  0.0528  4 O 1.48-1.50
Ni  0.0000  0.5000  0.0000  6 O 2.04-2.08
Ni  0.5000  0.5000  0.5000  6 O 2.04-2.08
Ni  0.5000  0.0000  0.5000  6 O 2.04-2.08
Ni  0.0000  0.0000  0.0000  6 O 2.04-2.08

Results
As for the space-group type: Pnma (62). For the corrected total energy (MP2020 scheme), the calculation gives -6.768 eV/atom.

No. 3
The following is a PBE with a Hubbard U calculation of crystalline NiH10Se2O10 at its relaxed geometry, from the Materials Project database.

a = 8.2146 Å, b = 8.2146 Å, c = 10.9708 Å
α = 58.10°, β = 58.10°, γ = 55.90°
With the nearest neighbours (Å) after each atom.
Fractional coordinates of all 46 atoms:
H  0.6816  0.4306  0.6631  1 O 0.99
H  0.5694  0.3184  0.8369  1 O 0.99
H  0.3976  0.2624  0.5625  1 O 0.99
H  0.6024  0.7376  0.4375  1 O 0.99
H  0.7064  0.7368  0.5250  1 O 1.00
H  0.3702  0.7509  0.6661  1 O 1.00
H  0.4306  0.6816  0.1631  1 O 0.99
H  0.9524  0.4166  0.7683  1 O 1.02
H  0.4166  0.9524  0.2683  1 O 1.02
H  0.3184  0.5694  0.3369  1 O 0.99
H  0.7368  0.7064  0.0250  1 O 1.00
H  0.5834  0.0476  0.7317  1 O 1.02
H  0.2632  0.2936  0.9750  1 O 1.00
H  0.2491  0.6298  0.8339  1 O 1.00
H  0.6298  0.2491  0.3339  1 O 1.00
H  0.2936  0.2632  0.4750  1 O 1.00
H  0.0476  0.5834  0.2317  1 O 1.02
H  0.7376  0.6024  0.9375  1 O 0.99
H  0.7509  0.3702  0.1661  1 O 1.00
H  0.2624  0.3976  0.0625  1 O 0.99
Se  0.0106  0.2552  0.3931  3 O 1.70-1.81
Se  0.7448  0.9894  0.1069  3 O 1.70-1.81
Se  0.2552  0.0106  0.8931  3 O 1.70-1.81
Se  0.9894  0.7448  0.6069  3 O 1.70-1.81
O  0.0592  0.1621  0.8163  1 H 1.64, 1 Se 1.71
O  0.2334  0.7666  0.7500  2 H 1.00
O  0.6798  0.6151  0.0391  2 H 0.99-1.00
O  0.8269  0.8840  0.9762  1 Se 1.70, 1 H 1.71
O  0.1621  0.0592  0.3163  1 H 1.64, 1 Se 1.71
O  0.7013  0.2987  0.7500  2 H 0.99
O  0.1731  0.1160  0.0238  1 Se 1.70, 1 H 1.71
O  0.8617  0.5689  0.7613  1 H 1.02
O  0.6151  0.6798  0.5391  2 H 0.99-1.00
O  0.1160  0.1731  0.5238  1 Se 1.70, 1 H 1.71
O  0.8379  0.9408  0.6837  1 H 1.64, 1 Se 1.71
O  0.8840  0.8269  0.4762  1 Se 1.70, 1 H 1.71
O  0.9408  0.8379  0.1837  1 H 1.64, 1 Se 1.71
O  0.1383  0.4311  0.2387  1 H 1.02
O  0.3849  0.3202  0.4609  2 H 0.99-1.00
O  0.7666  0.2334  0.2500  2 H 1.00
O  0.4311  0.1383  0.7387  1 H 1.02
O  0.2987  0.7013  0.2500  2 H 0.99
O  0.3202  0.3849  0.9609  2 H 0.99-1.00
O  0.5689  0.8617  0.2613  1 H 1.02
Ni  0.0341  0.9659  0.2500  6 O 2.04-2.13
Ni  0.9659  0.0341  0.7500  6 O 2.04-2.13

Results
Its energy above the most stable polymorph in this dataset is 0.000 eV/atom. As for the space-group type: C2/c (15). For the corrected total energy (MP2020 scheme), the calculation gives -5.451 eV/atom.

No. 4
The following is a PBE with a Hubbard U calculation of crystalline NiH2SeO5 at its relaxed geometry, from the Materials Project database.

a = 5.1696 Å, b = 7.9648 Å, c = 5.1671 Å
α = 71.94°, β = 87.94°, γ = 71.97°
With the nearest neighbours (Å) after each atom.
Fractional coordinates of all 18 atoms:
H  0.7717  0.5003  0.5075  1 O 1.00
H  0.2284  0.4995  0.4927  1 O 1.00
H  0.0074  0.0005  0.2716  1 O 1.00
H  0.9928  0.9995  0.7285  1 O 1.00
O  0.1356  0.0668  0.1747  1 H 1.00
O  0.8656  0.3889  0.2559  1 Se 1.68, 1 H 1.77
O  0.8643  0.9334  0.8251  1 H 1.00
O  0.5662  0.7497  0.9350  1 Se 1.75
O  0.1343  0.6111  0.7442  1 Se 1.68, 1 H 1.77
O  0.4338  0.2503  0.0650  1 Se 1.75
O  0.3250  0.4333  0.3642  1 H 1.00
O  0.2473  0.1098  0.6340  1 Se 1.68, 1 H 1.77
O  0.6750  0.5666  0.6359  1 H 1.00
O  0.7529  0.8900  0.3658  1 Se 1.68, 1 H 1.77
Se  0.8091  0.7501  0.6907  3 O 1.68-1.75
Se  0.1908  0.2500  0.3093  3 O 1.68-1.75
Ni  0.5001  0.5001  0.9999  6 O 2.04-2.13
Ni  0.4997  0.0001  0.0000  6 O 2.05-2.12

Results
Its energy above the most stable polymorph in this dataset is 0.120 eV/atom. As for the space-group type: P-1 (2). For the corrected total energy (MP2020 scheme), the calculation gives -5.667 eV/atom.

No. 5
The following is a PBE with a Hubbard U calculation of crystalline NiH2SeO5 at its relaxed geometry, from the Materials Project database.

a = 6.9737 Å, b = 8.1515 Å, c = 7.6431 Å
α = 90.00°, β = 116.72°, γ = 90.00°
With the nearest neighbours (Å) after each atom.
Fractional coordinates of all 36 atoms:
O  0.9728  0.7835  0.3476  1 Se 1.69, 1 H 1.72
O  0.5272  0.7165  0.6524  1 Se 1.69, 1 H 1.72
O  0.2500  0.6228  0.2500  2 H 1.01
O  0.2602  0.0507  0.0747  1 Se 1.66
O  0.7500  0.1228  0.2500  2 H 1.01
O  0.7500  0.3772  0.7500  2 H 1.01
O  0.2602  0.4493  0.5747  1 Se 1.66
O  0.7602  0.9493  0.5747  1 Se 1.66
O  0.7602  0.5507  0.0747  1 Se 1.66
O  0.9728  0.7165  0.8476  1 Se 1.69, 1 H 1.72
O  0.7398  0.5507  0.4253  1 Se 1.66
O  0.2398  0.0507  0.4253  1 Se 1.66
O  0.4728  0.2835  0.3476  1 Se 1.69, 1 H 1.72
O  0.0272  0.2835  0.1524  1 Se 1.69, 1 H 1.72
O  0.2500  0.8772  0.7500  2 H 1.01
O  0.4728  0.2165  0.8476  1 Se 1.69, 1 H 1.72
O  0.5272  0.7835  0.1524  1 Se 1.69, 1 H 1.72
O  0.2398  0.4493  0.9253  1 Se 1.66
O  0.0272  0.2165  0.6524  1 Se 1.69, 1 H 1.72
O  0.7398  0.9493  0.9253  1 Se 1.66
Ni  0.0000  0.5000  0.0000  6 O 2.04-2.17
Ni  0.5000  0.0000  0.0000  6 O 2.04-2.17
Ni  0.0000  0.0000  0.5000  6 O 2.04-2.17
Ni  0.5000  0.5000  0.5000  6 O 2.04-2.17
H  0.3322  0.8040  0.7016  1 O 1.01
H  0.1678  0.8040  0.7984  1 O 1.01
H  0.8322  0.3040  0.7016  1 O 1.01
H  0.6678  0.1960  0.2984  1 O 1.01
H  0.1678  0.6960  0.2984  1 O 1.01
H  0.8322  0.1960  0.2016  1 O 1.01
H  0.3322  0.6960  0.2016  1 O 1.01
H  0.6678  0.3040  0.7984  1 O 1.01
Se  0.2500  0.3341  0.7500  4 O 1.66-1.69
Se  0.7500  0.8341  0.7500  4 O 1.66-1.69
Se  0.7500  0.6659  0.2500  4 O 1.66-1.69
Se  0.2500  0.1659  0.2500  4 O 1.66-1.69

Results
Its energy above the most stable polymorph in this dataset is 0.000 eV/atom. For the corrected total energy (MP2020 scheme), the calculation gives -5.787 eV/atom.

No. 6
The following is a PBE with a Hubbard U calculation of crystalline NiH10Se2O10 at its relaxed geometry, from the Materials Project database.

a = 8.1234 Å, b = 8.1234 Å, c = 12.1419 Å
α = 61.18°, β = 61.18°, γ = 59.19°
With the nearest neighbours (Å) after each atom.
Fractional coordinates of all 46 atoms:
H  0.9602  0.8966  0.2993  1 O 0.99
H  0.1034  0.0398  0.2007  1 O 0.99
H  0.6047  0.3537  0.8252  1 O 0.97
H  0.9506  0.7486  0.6325  1 O 0.98
H  0.3953  0.6463  0.1748  1 O 0.97
H  0.9123  0.5948  0.1459  1 O 1.01
H  0.8966  0.9602  0.7993  1 O 0.99
H  0.2514  0.0494  0.8675  1 O 0.98
H  0.2434  0.8661  0.5422  1 O 0.97
H  0.7566  0.1339  0.4578  1 O 0.97
H  0.5948  0.9123  0.6459  1 O 1.01
H  0.3537  0.6047  0.3252  1 O 0.97
H  0.0877  0.4052  0.8541  1 O 1.01
H  0.8661  0.2434  0.0422  1 O 0.97
H  0.4052  0.0877  0.3541  1 O 1.01
H  0.0398  0.1034  0.7007  1 O 0.99
H  0.7486  0.9506  0.1325  1 O 0.98
H  0.6463  0.3953  0.6748  1 O 0.97
H  0.1339  0.7566  0.9578  1 O 0.97
H  0.0494  0.2514  0.3675  1 O 0.98
O  0.8667  0.7037  0.3936  1 Se 1.65, 1 H 1.73
O  0.2682  0.6631  0.9272  1 H 0.97
O  0.9663  0.0337  0.2500  2 H 0.99
O  0.0337  0.9663  0.7500  2 H 0.99
O  0.4449  0.5551  0.2500  2 H 0.97
O  0.8099  0.7578  0.6774  1 H 0.98
O  0.9736  0.4467  0.1551  1 H 1.01
O  0.2422  0.1901  0.8226  1 H 0.98
O  0.7578  0.8099  0.1774  1 H 0.98
O  0.1333  0.2963  0.6064  1 Se 1.65, 1 H 1.73
O  0.7318  0.3369  0.0728  1 H 0.97
O  0.6631  0.2682  0.4272  1 H 0.97
O  0.2963  0.1333  0.1064  1 Se 1.65, 1 H 1.73
O  0.1901  0.2422  0.3226  1 H 0.98
O  0.0264  0.5533  0.8449  1 H 1.01
O  0.5551  0.4449  0.7500  2 H 0.97
O  0.4467  0.9736  0.6551  1 H 1.01
O  0.5533  0.0264  0.3449  1 H 1.01
O  0.7037  0.8667  0.8936  1 Se 1.65, 1 H 1.73
O  0.3369  0.7318  0.5728  1 H 0.97
Ni  0.2935  0.7065  0.7500  4 O 1.93-2.10
Ni  0.7065  0.2935  0.2500  4 O 1.93-2.10
Se  0.7624  0.6625  0.8630  2 O 1.65-1.79
Se  0.6625  0.7624  0.3630  2 O 1.65-1.79
Se  0.2376  0.3375  0.1370  2 O 1.65-1.79
Se  0.3375  0.2376  0.6370  2 O 1.65-1.79

Results
Its energy above the most stable polymorph in this dataset is 0.162 eV/atom. As for the space-group type: C2/c (15). For the corrected total energy (MP2020 scheme), the calculation gives -5.289 eV/atom.